Below is a relaxed structure of Hf3As, with properties calculated at the PBE level. Values from VASP.

```
&SYSTEM
  ibrav = 0, nat = 32, ntyp = 2
/
ATOMIC_SPECIES
Hf 178.49 Hf.upf
As 74.92 As.upf
CELL_PARAMETERS angstrom
-6.7780 -1.6046 -4.3307
-4.3654 -6.2625 -2.9992
-8.2717 -0.5685 12.9991
ATOMIC_POSITIONS angstrom
Hf -7.7047 -0.9362 9.8622
Hf -11.7660 -4.0282 7.6125
Hf -16.0269 -7.4351 2.2069
Hf -7.7145 -3.5810 1.0664
Hf -9.8851 -3.5432 10.1354
Hf -11.7006 -4.8547 4.6028
Hf -14.9479 -6.7637 8.3689
Hf -4.5469 -4.7314 -2.7597
Hf -4.4672 -1.6720 -2.6997
Hf -7.5183 -4.0504 4.3985
Hf -9.5300 -4.8924 -4.4662
Hf -11.8968 -4.3852 1.2707
Hf -4.8135 -3.5010 2.3124
Hf -14.6016 -4.9346 3.3568
Hf -14.8682 -3.7043 8.4289
Hf -12.6527 -7.1329 2.5926
Hf -3.3882 -1.0006 3.4623
Hf -9.9009 -2.6639 3.0676
Hf -9.5142 -5.7717 2.6016
Hf -11.7104 -7.4995 -4.1930
Hf -9.1852 -7.1227 -2.4360
Hf -7.6491 -4.4075 -1.9433
Hf -10.2299 -1.3129 8.1052
Hf -6.7624 -1.3028 3.0766
As -5.4903 -3.2665 -0.5515
As -17.3575 -7.7883 4.6405
As -2.0576 -0.6474 1.0287
As -13.9248 -5.1691 6.2207
As -9.5855 -5.2776 -0.1666
As -9.8296 -3.1580 5.8358
As -13.3170 -7.3198 -1.9117
As -6.0981 -1.1159 7.5809
```

The value obtained for the energy of formation is -0.643 eV/atom. The electronic total energy is -9.275 eV/atom.